1.
DFT (PBE with a Hubbard U) results for CaMo2O6 after structural relaxation.

Cell and atoms, written as CIF:
```
data_CaMo2O6
_chemical_formula_sum 'Ca2 Mo4 O12'
_cell_length_a 5.566
_cell_length_b 5.461
_cell_length_c 9.456
_cell_angle_alpha 55.15
_cell_angle_beta 90.00
_cell_angle_gamma 90.00
_space_group_name_H-M_alt 'P 1'
_space_group_IT_number 1
_space_group_name_Hall 'P 1'
loop_
_atom_site_label
_atom_site_type_symbol
_atom_site_fract_x
_atom_site_fract_y
_atom_site_fract_z
Ca1 Ca 0.702 0.759 0.752
Ca2 Ca 0.298 0.759 0.252
Mo1 Mo 0.241 0.498 0.998
Mo2 Mo 0.753 0.001 0.999
Mo3 Mo 0.759 0.498 0.498
Mo4 Mo 0.247 0.001 0.499
O1 O 0.964 0.155 0.543
O2 O 0.048 0.748 0.456
O3 O 0.478 0.820 0.969
O4 O 0.532 0.249 0.033
O5 O 0.522 0.820 0.469
O6 O 0.468 0.249 0.533
O7 O 0.036 0.155 0.043
O8 O 0.952 0.748 0.956
O9 O 0.769 0.334 0.745
O10 O 0.231 0.334 0.245
O11 O 0.268 0.686 0.756
O12 O 0.732 0.686 0.256
```

SG: Pc (7)
Volume, Å³ per cell: 235.8
Spin magnetization, μB per formula unit: 0.00

2.
DFT (PBE with a Hubbard U) results for CaMo2O6 after structural relaxation.

Cell and atoms, written as CIF:
```
data_CaMo2O6
_chemical_formula_sum 'Ca2 Mo4 O12'
_cell_length_a 5.450
_cell_length_b 5.520
_cell_length_c 7.787
_cell_angle_alpha 89.99
_cell_angle_beta 90.00
_cell_angle_gamma 89.95
_space_group_name_H-M_alt 'P 1'
_space_group_IT_number 1
_space_group_name_Hall 'P 1'
loop_
_atom_site_label
_atom_site_type_symbol
_atom_site_fract_x
_atom_site_fract_y
_atom_site_fract_z
Ca1 Ca 0.507 0.543 0.250
Ca2 Ca 0.008 0.956 0.750
Mo1 Mo 0.501 0.004 0.000
Mo2 Mo 0.000 0.496 0.000
Mo3 Mo 0.001 0.496 0.500
Mo4 Mo 0.501 0.004 0.500
O1 O 0.714 0.287 0.468
O2 O 0.214 0.213 0.532
O3 O 0.779 0.778 0.024
O4 O 0.279 0.722 0.976
O5 O 0.279 0.722 0.524
O6 O 0.779 0.778 0.476
O7 O 0.214 0.213 0.969
O8 O 0.713 0.287 0.031
O9 O 0.063 0.490 0.250
O10 O 0.563 0.009 0.750
O11 O 0.453 0.993 0.250
O12 O 0.953 0.508 0.750
```

SG: Pm (6)
Volume, Å³ per cell: 234.3
Spin magnetization, μB per formula unit: 2.00

Energies in meV per atom, measured from the most stable structure: 1 37; 2 0.